Compound: ZnH8C2I2N4O2
Source: Materials Project
Functional: PBE-GGA
Structure: relaxed

The structure in CIF format:
```
data_ZnH8C2I2N4O2
_chemical_formula_sum 'Zn4 H32 C8 I8 N16 O8'
_cell_length_a 6.994
_cell_length_b 12.689
_cell_length_c 14.093
_cell_angle_alpha 66.02
_cell_angle_beta 90.00
_cell_angle_gamma 90.00
_symmetry_space_group_name_H-M 'P 1'
_symmetry_Int_Tables_number 1
_symmetry_space_group_name_Hall 'P 1'
loop_
_atom_site_label
_atom_site_fract_x
_atom_site_fract_y
_atom_site_fract_z
Zn1 0.590 0.877 0.752
Zn2 0.410 0.123 0.248
Zn3 0.090 0.123 0.748
Zn4 0.910 0.877 0.252
C1 0.725 0.674 0.940
C2 0.211 0.114 0.433
C3 0.225 0.326 0.560
C4 0.789 0.886 0.567
C5 0.711 0.886 0.067
C6 0.775 0.674 0.440
C7 0.289 0.114 0.933
C8 0.275 0.326 0.060
N1 0.628 0.822 0.628
N2 0.872 0.822 0.128
N3 0.948 0.639 0.482
N4 0.448 0.361 0.018
N5 0.744 0.947 0.965
N6 0.382 0.371 0.503
N7 0.552 0.639 0.982
N8 0.256 0.053 0.035
N9 0.756 0.947 0.465
N10 0.882 0.629 0.997
N11 0.128 0.178 0.872
N12 0.118 0.371 0.003
N13 0.052 0.361 0.518
N14 0.618 0.629 0.497
N15 0.372 0.178 0.372
N16 0.244 0.053 0.535
H1 0.957 0.574 0.555
H2 0.639 0.004 0.924
H3 0.457 0.426 0.945
H4 0.139 0.996 0.576
H5 0.370 0.442 0.433
H6 0.492 0.182 0.411
H7 0.361 0.996 0.076
H8 0.833 0.739 0.175
H9 0.130 0.442 0.933
H10 0.643 0.933 0.427
H11 0.861 0.004 0.424
H12 0.167 0.261 0.825
H13 0.056 0.646 0.430
H14 0.008 0.182 0.911
H15 0.333 0.261 0.325
H16 0.543 0.574 0.055
H17 0.556 0.354 0.070
H18 0.143 0.067 0.073
H19 0.944 0.354 0.570
H20 0.870 0.558 0.067
H21 0.630 0.558 0.567
H22 0.043 0.426 0.445
H23 0.510 0.352 0.540
H24 0.357 0.067 0.573
H25 0.992 0.818 0.089
H26 0.667 0.739 0.675
H27 0.444 0.646 0.930
H28 0.490 0.648 0.460
H29 0.010 0.648 0.960
H30 0.990 0.352 0.040
H31 0.857 0.933 0.927
H32 0.508 0.818 0.589
I1 0.219 0.609 0.272
I2 0.238 0.907 0.813
I3 0.738 0.093 0.687
I4 0.281 0.609 0.772
I5 0.262 0.907 0.313
I6 0.762 0.093 0.187
I7 0.781 0.391 0.728
I8 0.719 0.391 0.228
O1 0.561 0.886 0.112
O2 0.746 0.751 0.847
O3 0.061 0.114 0.388
O4 0.439 0.114 0.888
O5 0.246 0.249 0.653
O6 0.254 0.249 0.153
O7 0.939 0.886 0.612
O8 0.754 0.751 0.347
```

Results
E_form = -0.56 eV/atom
Energy with MP2020 corrections = -5.458 eV/atom
Spin magnetization = 0.00 μB/f.u.